No. 1
A geometry-optimized Fe5O8F2 structure, computed with PBE with a Hubbard U.

Lattice parameters (Å, degrees): 4.6759 7.6066 9.7989 70.16 90.00 90.00
Closest atoms and distances in Å follow each position.
Fractional coordinates of all 30 atoms:
Fe (0.5321, 0.1477, 0.5483)  5 O 1.89-2.01
Fe (0.4800, 0.3589, 0.9417)  5 O 1.96-2.03, 1 F 2.10
Fe (0.4929, 0.5387, 0.3511)  5 O 1.95-2.01, 1 F 2.06
Fe (0.5199, 0.7509, 0.7437)  5 O 1.92-1.99
Fe (0.4693, 0.9415, 0.1384)  4 O 1.93-2.01, 2 F 2.09
Fe (0.0321, 0.8523, 0.4517)  5 O 1.89-2.01
Fe (0.0199, 0.2491, 0.2563)  5 O 1.92-1.99
Fe (0.9800, 0.6411, 0.0583)  5 O 1.96-2.03, 1 F 2.10
Fe (0.9693, 0.0585, 0.8616)  4 O 1.93-2.01, 2 F 2.09
Fe (0.9929, 0.4613, 0.6489)  5 O 1.95-2.01, 1 F 2.06
O (0.8185, 0.7050, 0.6146)  3 Fe 1.89-1.99
O (0.8032, 0.4739, 0.2359)  3 Fe 1.94-2.00
O (0.7942, 0.8811, 0.0316)  3 Fe 1.93-1.98
O (0.8285, 0.0820, 0.4244)  3 Fe 1.93-2.01
O (0.7980, 0.3009, 0.8254)  3 Fe 1.93-2.01
O (0.6998, 0.3835, 0.5311)  3 Fe 1.91-2.01
O (0.6942, 0.9921, 0.7293)  3 Fe 1.92-2.01
O (0.6847, 0.5941, 0.9230)  3 Fe 1.92-2.03
O (0.3185, 0.2950, 0.3854)  3 Fe 1.89-1.99
O (0.2980, 0.6991, 0.1746)  3 Fe 1.93-2.01
O (0.2942, 0.1189, 0.9684)  3 Fe 1.93-1.98
O (0.3032, 0.5261, 0.7641)  3 Fe 1.94-2.00
O (0.3285, 0.9180, 0.5756)  3 Fe 1.93-2.01
O (0.1942, 0.0079, 0.2707)  3 Fe 1.92-2.01
O (0.1847, 0.4059, 0.0770)  3 Fe 1.92-2.03
O (0.1998, 0.6165, 0.4689)  3 Fe 1.91-2.01
F (0.6970, 0.7878, 0.3237)  3 Fe 2.06-2.16
F (0.6879, 0.1857, 0.1284)  3 Fe 2.09-2.15
F (0.1970, 0.2122, 0.6763)  3 Fe 2.06-2.16
F (0.1879, 0.8143, 0.8716)  3 Fe 2.09-2.15

* formation energy: -1.576 eV/atom
* space group: P2_1, No. 4

***

No. 2
A geometry-optimized Fe2O3F structure, computed with PBE with a Hubbard U.

Lattice parameters (Å, degrees): 4.7039 4.7039 5.9971 90.00 90.00 94.25
Closest atoms and distances in Å follow each position.
Fractional coordinates of all 12 atoms:
Fe (0.0000, 0.0000, 0.0000)  4 O 1.94-1.97, 2 F 2.04
Fe (0.0000, 0.0000, 0.5000)  4 O 1.94-1.97, 2 F 2.04
Fe (0.5334, 0.4666, 0.2500)  5 O 1.95-1.99
Fe (0.4666, 0.5334, 0.7500)  5 O 1.95-1.99
O (0.1782, 0.8218, 0.7500)  3 Fe 1.94-1.99
O (0.3075, 0.3075, 0.5000)  3 Fe 1.95-1.97
O (0.3075, 0.3075, 0.0000)  3 Fe 1.95-1.97
O (0.6925, 0.6925, 0.0000)  3 Fe 1.95-1.97
O (0.6925, 0.6925, 0.5000)  3 Fe 1.95-1.97
O (0.8218, 0.1782, 0.2500)  3 Fe 1.94-1.99
F (0.2010, 0.7990, 0.2500)  2 Fe 2.04
F (0.7990, 0.2010, 0.7500)  2 Fe 2.04

* formation energy: -1.672 eV/atom
* space group: Cmcm, No. 63

***

No. 3
A geometry-optimized Fe2P3O9F3 structure, computed with PBE with a Hubbard U.

Lattice parameters (Å, degrees): 14.6323 14.6323 7.4752 90.00 90.00 120.00
Closest atoms and distances in Å follow each position.
Fractional coordinates of all 102 atoms:
Fe (0.3524, 0.0265, 0.9527)  6 O 1.94-2.14
Fe (0.6742, 0.6476, 0.9527)  6 O 1.94-2.14
Fe (0.9735, 0.3258, 0.9527)  6 O 1.94-2.14
Fe (0.6476, 0.9735, 0.4527)  6 O 1.94-2.14
Fe (0.3258, 0.3524, 0.4527)  6 O 1.94-2.14
Fe (0.0265, 0.6742, 0.4527)  6 O 1.94-2.14
Fe (0.6476, 0.9735, 0.0473)  6 O 1.94-2.14
Fe (0.3258, 0.3524, 0.0473)  6 O 1.94-2.14
Fe (0.0265, 0.6742, 0.0473)  6 O 1.94-2.14
Fe (0.3524, 0.0265, 0.5473)  6 O 1.94-2.14
Fe (0.6742, 0.6476, 0.5473)  6 O 1.94-2.14
Fe (0.9735, 0.3258, 0.5473)  6 O 1.94-2.14
P (0.4574, 0.8956, 0.7500)  3 O 1.52-1.55, 1 F 1.57
P (0.4382, 0.5426, 0.7500)  3 O 1.52-1.55, 1 F 1.57
P (0.1044, 0.5618, 0.7500)  3 O 1.52-1.55, 1 F 1.57
P (0.5426, 0.1044, 0.2500)  3 O 1.52-1.55, 1 F 1.57
P (0.5618, 0.4574, 0.2500)  3 O 1.52-1.55, 1 F 1.57
P (0.8956, 0.4382, 0.2500)  3 O 1.52-1.55, 1 F 1.57
P (0.2449, 0.1162, 0.2500)  3 O 1.52-1.54, 1 F 1.56
P (0.8713, 0.7551, 0.2500)  3 O 1.52-1.54, 1 F 1.56
P (0.8838, 0.1287, 0.2500)  3 O 1.52-1.54, 1 F 1.56
P (0.7551, 0.8838, 0.7500)  3 O 1.52-1.54, 1 F 1.56
P (0.1287, 0.2449, 0.7500)  3 O 1.52-1.54, 1 F 1.56
P (0.1162, 0.8713, 0.7500)  3 O 1.52-1.54, 1 F 1.56
P (0.4322, 0.2612, 0.7500)  3 O 1.52-1.55, 1 F 1.55
P (0.8291, 0.5678, 0.7500)  3 O 1.52-1.55, 1 F 1.55
P (0.7388, 0.1709, 0.7500)  3 O 1.52-1.55, 1 F 1.55
P (0.5678, 0.7388, 0.2500)  3 O 1.52-1.55, 1 F 1.55
P (0.1709, 0.4322, 0.2500)  3 O 1.52-1.55, 1 F 1.55
P (0.2612, 0.8291, 0.2500)  3 O 1.52-1.55, 1 F 1.55
O (0.3911, 0.1410, 0.7500)  1 P 1.55
O (0.7499, 0.6089, 0.7500)  1 P 1.55
O (0.8590, 0.2501, 0.7500)  1 P 1.55
O (0.6089, 0.8590, 0.2500)  1 P 1.55
O (0.2501, 0.3911, 0.2500)  1 P 1.55
O (0.1410, 0.7499, 0.2500)  1 P 1.55
O (0.4263, 0.9825, 0.7500)  1 P 1.55
O (0.5562, 0.5737, 0.7500)  1 P 1.55
O (0.0175, 0.4438, 0.7500)  1 P 1.55
O (0.5737, 0.0175, 0.2500)  1 P 1.55
O (0.4438, 0.4263, 0.2500)  1 P 1.55
O (0.9825, 0.5562, 0.2500)  1 P 1.55
O (0.2979, 0.8933, 0.0791)  1 P 1.52
O (0.5954, 0.7021, 0.0791)  1 P 1.52
O (0.1067, 0.4046, 0.0791)  1 P 1.52
O (0.7021, 0.1067, 0.5791)  1 P 1.52
O (0.4046, 0.2979, 0.5791)  1 P 1.52
O (0.8933, 0.5954, 0.5791)  1 P 1.52
O (0.7021, 0.1067, 0.9209)  1 P 1.52
O (0.4046, 0.2979, 0.9209)  1 P 1.52
O (0.8933, 0.5954, 0.9209)  1 P 1.52
O (0.2979, 0.8933, 0.4209)  1 P 1.52
O (0.5954, 0.7021, 0.4209)  1 P 1.52
O (0.1067, 0.4046, 0.4209)  1 P 1.52
O (0.4865, 0.1043, 0.0788)  1 P 1.52
O (0.6178, 0.5135, 0.0788)  1 P 1.52
O (0.8957, 0.3822, 0.0788)  1 P 1.52
O (0.5135, 0.8957, 0.5788)  1 P 1.52
O (0.3822, 0.4865, 0.5788)  1 P 1.52
O (0.1043, 0.6178, 0.5788)  1 P 1.52
O (0.5135, 0.8957, 0.9212)  1 P 1.52
O (0.3822, 0.4865, 0.9212)  1 P 1.52
O (0.1043, 0.6178, 0.9212)  1 P 1.52
O (0.4865, 0.1043, 0.4212)  1 P 1.52
O (0.6178, 0.5135, 0.4212)  1 P 1.52
O (0.8957, 0.3822, 0.4212)  1 P 1.52
O (0.2718, 0.0789, 0.0786)  1 P 1.52
O (0.8071, 0.7282, 0.0786)  1 P 1.52
O (0.9211, 0.1929, 0.0786)  1 P 1.52
O (0.7282, 0.9211, 0.5786)  1 P 1.52
O (0.1929, 0.2718, 0.5786)  1 P 1.52
O (0.0789, 0.8071, 0.5786)  1 P 1.52
O (0.7282, 0.9211, 0.9214)  1 P 1.52
O (0.1929, 0.2718, 0.9214)  1 P 1.52
O (0.0789, 0.8071, 0.9214)  1 P 1.52
O (0.2718, 0.0789, 0.4214)  1 P 1.52
O (0.8071, 0.7282, 0.4214)  1 P 1.52
O (0.9211, 0.1929, 0.4214)  1 P 1.52
O (0.2362, 0.9491, 0.7500)  1 P 1.54
O (0.7130, 0.7638, 0.7500)  1 P 1.54
O (0.0509, 0.2870, 0.7500)  1 P 1.54
O (0.7638, 0.0509, 0.2500)  1 P 1.54
O (0.2870, 0.2362, 0.2500)  1 P 1.54
O (0.9491, 0.7130, 0.2500)  1 P 1.54
F (0.0664, 0.9438, 0.7500)  1 P 1.56
F (0.8774, 0.9336, 0.7500)  1 P 1.56
F (0.0562, 0.1226, 0.7500)  1 P 1.56
F (0.9336, 0.0562, 0.2500)  1 P 1.56
F (0.1226, 0.0664, 0.2500)  1 P 1.56
F (0.9438, 0.8774, 0.2500)  1 P 1.56
F (0.3501, 0.7890, 0.7500)  1 P 1.57
F (0.4389, 0.6499, 0.7500)  1 P 1.57
F (0.2110, 0.5611, 0.7500)  1 P 1.57
F (0.6499, 0.2110, 0.2500)  1 P 1.57
F (0.5611, 0.3501, 0.2500)  1 P 1.57
F (0.7890, 0.4389, 0.2500)  1 P 1.57
F (0.3122, 0.7580, 0.2500)  1 P 1.55
F (0.4458, 0.6878, 0.2500)  1 P 1.55
F (0.2420, 0.5542, 0.2500)  1 P 1.55
F (0.6878, 0.2420, 0.7500)  1 P 1.55
F (0.5542, 0.3122, 0.7500)  1 P 1.55
F (0.7580, 0.4458, 0.7500)  1 P 1.55

* formation energy: -2.536 eV/atom
* space group: P6_3/m, No. 176

***

No. 4
A geometry-optimized Fe2PO4F structure, computed with PBE with a Hubbard U.

Lattice parameters (Å, degrees): 7.3701 7.3701 9.9818 65.00 65.00 53.24
Closest atoms and distances in Å follow each position.
Fractional coordinates of all 32 atoms:
Fe (0.2610, 0.0550, 0.6415)  1 F 2.05, 4 O 2.07-2.17
Fe (0.0550, 0.2610, 0.1415)  1 F 2.05, 4 O 2.07-2.17
Fe (0.7390, 0.9450, 0.3585)  1 F 2.05, 4 O 2.07-2.17
Fe (0.9450, 0.7390, 0.8585)  1 F 2.05, 4 O 2.07-2.17
Fe (0.6608, 0.2175, 0.0066)  1 F 2.06, 4 O 2.08-2.20
Fe (0.7825, 0.3392, 0.4934)  1 F 2.06, 4 O 2.08-2.20
Fe (0.3392, 0.7825, 0.9934)  1 F 2.06, 4 O 2.08-2.20
Fe (0.2175, 0.6608, 0.5066)  1 F 2.06, 4 O 2.08-2.20
P (0.2342, 0.4194, 0.3063)  4 O 1.55-1.56
P (0.5806, 0.7658, 0.1937)  4 O 1.55-1.56
P (0.7658, 0.5806, 0.6937)  4 O 1.55-1.56
P (0.4194, 0.2342, 0.8063)  4 O 1.55-1.56
O (0.3562, 0.0701, 0.8022)  1 P 1.55
O (0.6438, 0.9299, 0.1978)  1 P 1.55
O (0.9299, 0.6438, 0.6978)  1 P 1.55
O (0.0701, 0.3562, 0.3022)  1 P 1.55
O (0.0881, 0.6468, 0.3640)  1 P 1.56
O (0.3532, 0.9119, 0.1360)  1 P 1.56
O (0.9119, 0.3532, 0.6360)  1 P 1.56
O (0.6468, 0.0881, 0.8640)  1 P 1.56
O (0.3847, 0.4584, 0.1442)  1 P 1.55
O (0.3906, 0.2222, 0.4189)  1 P 1.55
O (0.6153, 0.5416, 0.8558)  1 P 1.55
O (0.4584, 0.3847, 0.6442)  1 P 1.55
O (0.2222, 0.3906, 0.9189)  1 P 1.55
O (0.6094, 0.7778, 0.5811)  1 P 1.55
O (0.7778, 0.6094, 0.0811)  1 P 1.55
O (0.5416, 0.6153, 0.3558)  1 P 1.55
F (0.1266, 0.9080, 0.6055)  2 Fe 2.05-2.06
F (0.0920, 0.8734, 0.8945)  2 Fe 2.05-2.06
F (0.8734, 0.0920, 0.3945)  2 Fe 2.05-2.06
F (0.9080, 0.1266, 0.1055)  2 Fe 2.05-2.06

* formation energy: -2.366 eV/atom
* space group: C2/c, No. 15